# 1
26
Lattice="4.178 0.000 0.000 0.000 5.616 0.000 0.000 0.000 11.177" Properties=species:S:1:pos:R:3 comment="r²SCAN Ce2NiB10, relaxed" delta_e_f_ev_per_atom=-0.62 magnetic_moment_mub_per_fu=1.59 pbc="T T T"
Ce 2.087 1.049 4.050
B 2.924 3.931 4.318
B 2.924 1.121 1.271
B 2.924 1.684 6.859
B 4.177 1.921 2.210
Ni 4.178 2.808 5.588
B 4.178 0.712 6.045
B 4.178 4.903 5.132
B 0.000 2.095 0.457
Ce 2.091 3.857 1.539
B 4.177 3.695 8.967
B 4.176 0.177 2.089
B 2.924 4.495 9.907
Ce 2.092 1.759 9.639
B 0.000 3.520 10.721
B 4.176 5.439 9.088
B 1.255 4.492 9.907
B 0.001 0.887 7.798
B 0.002 2.631 7.678
B 1.255 3.928 4.318
B 0.002 2.985 3.499
Ce 2.087 4.566 7.127
B 1.255 1.123 1.271
B 1.255 1.687 6.859
B 0.001 4.728 3.379
Ni 0.000 5.615 0.001

---

# 2
4
Lattice="0.000 3.029 3.029 3.029 0.000 3.029 3.029 3.029 0.000" Properties=species:S:1:pos:R:3 comment="r²SCAN Li2AgPd, relaxed" delta_e_f_ev_per_atom=-0.31 magnetic_moment_mub_per_fu=0.00 pbc="T T T"
Ag 1.515 1.515 1.515
Li 3.029 3.029 3.029
Li 0.000 0.000 0.000
Pd 4.544 4.544 4.544

---

# 3
11
Lattice="-0.463 -3.459 2.306 0.012 -2.391 -3.585 12.682 -1.155 0.813" Properties=species:S:1:pos:R:3 comment="r²SCAN Eu3As4Pd4, relaxed" delta_e_f_ev_per_atom=-1.04 magnetic_moment_mub_per_fu=20.42 pbc="T T T"
As 10.973 -3.945 0.078
Eu 9.681 -6.773 -0.630
Pd 8.526 -3.722 -0.079
Eu 2.550 -0.233 0.164
Eu 6.347 -1.773 -1.386
Pd 12.450 -2.885 1.966
Pd 3.706 -3.284 -0.387
As 7.393 -4.813 -1.945
As 4.839 -2.193 1.479
Pd 12.225 -5.810 1.326
As 1.258 -3.061 -0.544

---

What did the third record say?
11
Lattice="-0.463 -3.459 2.306 0.012 -2.391 -3.585 12.682 -1.155 0.813" Properties=species:S:1:pos:R:3 comment="r²SCAN Eu3As4Pd4, relaxed" delta_e_f_ev_per_atom=-1.04 magnetic_moment_mub_per_fu=20.42 pbc="T T T"
As 10.973 -3.945 0.078
Eu 9.681 -6.773 -0.630
Pd 8.526 -3.722 -0.079
Eu 2.550 -0.233 0.164
Eu 6.347 -1.773 -1.386
Pd 12.450 -2.885 1.966
Pd 3.706 -3.284 -0.387
As 7.393 -4.813 -1.945
As 4.839 -2.193 1.479
Pd 12.225 -5.810 1.326
As 1.258 -3.061 -0.544